1.
Density functional theory data (r2SCAN) for a relaxed TiBr4 crystal.

a b c (Å): 11.444 11.444 11.444
angles (deg): 90.00 90.00 90.00
Positions (direct):
1 Ti 0.131 0.131 0.131
2 Ti 0.131 0.369 0.631
3 Ti 0.369 0.631 0.131
4 Ti 0.369 0.869 0.631
5 Ti 0.631 0.131 0.369
6 Ti 0.631 0.369 0.869
7 Ti 0.869 0.631 0.369
8 Ti 0.869 0.869 0.869
9 Br 0.011 0.248 0.016
10 Br 0.011 0.252 0.516
11 Br 0.016 0.011 0.248
12 Br 0.016 0.489 0.748
13 Br 0.248 0.016 0.011
14 Br 0.248 0.248 0.248
15 Br 0.248 0.252 0.748
16 Br 0.248 0.484 0.511
17 Br 0.252 0.516 0.011
18 Br 0.252 0.748 0.248
19 Br 0.252 0.752 0.748
20 Br 0.252 0.984 0.511
21 Br 0.484 0.511 0.248
22 Br 0.484 0.989 0.748
23 Br 0.489 0.748 0.016
24 Br 0.489 0.752 0.516
25 Br 0.511 0.248 0.484
26 Br 0.511 0.252 0.984
27 Br 0.516 0.011 0.252
28 Br 0.516 0.489 0.752
29 Br 0.748 0.016 0.489
30 Br 0.748 0.248 0.252
31 Br 0.748 0.252 0.752
32 Br 0.748 0.484 0.989
33 Br 0.752 0.516 0.489
34 Br 0.752 0.748 0.252
35 Br 0.752 0.752 0.752
36 Br 0.752 0.984 0.989
37 Br 0.984 0.511 0.252
38 Br 0.984 0.989 0.752
39 Br 0.989 0.748 0.484
40 Br 0.989 0.752 0.984

- ΔH_f (0 K): -1.369 eV per atom

2.
Density functional theory data (r2SCAN) for a relaxed TiBr4 crystal.

a b c (Å): 10.444 7.006 10.471
angles (deg): 90.00 101.77 90.00
Positions (direct):
1 Ti 0.249 0.074 0.367
2 Ti 0.249 0.426 0.867
3 Ti 0.751 0.574 0.133
4 Ti 0.751 0.926 0.633
5 Br 0.070 0.074 0.194
6 Br 0.070 0.426 0.694
7 Br 0.192 0.582 0.043
8 Br 0.192 0.918 0.543
9 Br 0.310 0.112 0.924
10 Br 0.310 0.388 0.424
11 Br 0.422 0.586 0.804
12 Br 0.422 0.914 0.304
13 Br 0.578 0.086 0.696
14 Br 0.578 0.414 0.196
15 Br 0.690 0.612 0.576
16 Br 0.690 0.888 0.076
17 Br 0.808 0.082 0.457
18 Br 0.808 0.418 0.957
19 Br 0.930 0.574 0.306
20 Br 0.930 0.926 0.806

- ΔH_f (0 K): -1.368 eV per atom

3.
Density functional theory data (r2SCAN) for a relaxed TlBr2 crystal.

a b c (Å): 8.084 10.412 10.603
angles (deg): 90.00 90.00 90.00
Positions (direct):
1 Tl 0.178 0.250 0.250
2 Tl 0.250 0.000 0.677
3 Tl 0.250 0.500 0.823
4 Tl 0.322 0.750 0.250
5 Tl 0.678 0.250 0.750
6 Tl 0.750 0.000 0.323
7 Tl 0.750 0.500 0.177
8 Tl 0.822 0.750 0.750
9 Br 0.005 0.546 0.321
10 Br 0.005 0.954 0.179
11 Br 0.147 0.693 0.957
12 Br 0.147 0.807 0.543
13 Br 0.353 0.193 0.543
14 Br 0.353 0.307 0.957
15 Br 0.495 0.046 0.179
16 Br 0.495 0.454 0.321
17 Br 0.505 0.546 0.679
18 Br 0.505 0.954 0.821
19 Br 0.647 0.693 0.043
20 Br 0.647 0.807 0.457
21 Br 0.853 0.193 0.457
22 Br 0.853 0.307 0.043
23 Br 0.995 0.046 0.821
24 Br 0.995 0.454 0.679

- ΔH_f (0 K): -0.752 eV per atom

4.
Density functional theory data (r2SCAN) for a relaxed YbTlBr3 crystal.

a b c (Å): 8.445 8.445 10.794
angles (deg): 90.00 90.00 155.13
Positions (direct):
1 Yb 0.000 0.000 0.000
2 Yb 0.000 0.000 0.500
3 Tl 0.269 0.731 0.750
4 Tl 0.731 0.269 0.250
5 Br 0.035 0.965 0.250
6 Br 0.374 0.626 0.034
7 Br 0.374 0.626 0.466
8 Br 0.626 0.374 0.534
9 Br 0.626 0.374 0.966
10 Br 0.965 0.035 0.750

- ΔH_f (0 K): -1.490 eV per atom